NaPrTi4O12: optimized geometry, PBE.

**Spin magnetization**: 4.00 μB/f.u.
**VASP energy**: -7.839 eV per atom
**Crystal system**: tetragonal

abc: 5.454 5.454 7.894
angles: 90.00 90.00 90.00
Space group P4/mmm (No. 123)
Unique sites:
Na 0.000 0.000 0.000
Pr 0.500 0.500 0.500
Ti 0.000 0.500 0.237
O 0.000 0.500 0.000
O 0.000 0.500 0.500
O 0.256 0.256 0.266

---

NaPt3O4: optimized geometry, PBE.

**VASP energy**: -5.647 eV per atom
**Crystal system**: cubic

abc: 5.772 5.772 5.772
angles: 90.00 90.00 90.00
Space group Pm-3n (No. 223)
Unique sites:
Na 0.000 0.000 0.000
Pt 0.000 0.250 0.500
O 0.250 0.250 0.250

---

Na4PtO4: optimized geometry, PBE.

**Spin magnetization**: 0.03 μB/f.u.
**Energy relative to the lowest polymorph listed for this composition**: 56 meV per atom
**VASP energy**: -4.523 eV per atom
**Crystal system**: monoclinic

abc: 10.742 4.540 9.970
angles: 90.00 91.84 90.00
Space group C2/m (No. 12)
Unique sites:
Na 0.073 0.000 0.177
Na 0.128 0.500 0.956
Na 0.147 0.000 0.453
Na 0.242 0.500 0.273
Pt 0.048 0.500 0.655
O 0.044 0.500 0.164
O 0.056 0.000 0.658
O 0.118 0.500 0.464
O 0.218 0.500 0.755

---

Na4PtO4: optimized geometry, PBE.

**Spin magnetization**: 0.00 μB/f.u.
**Energy relative to the lowest polymorph listed for this composition**: 0 meV per atom
**VASP energy**: -4.579 eV per atom
**Crystal system**: monoclinic

abc: 10.975 3.302 7.977
angles: 90.00 121.08 90.00
Space group C2/m (No. 12)
Unique sites:
Na 0.131 0.000 0.394
Na 0.207 0.500 0.826
Pt 0.000 0.500 0.000
O 0.068 0.000 0.904
O 0.197 0.500 0.269

---

NaSr11Pt3O18: optimized geometry, PBE.

**VASP energy**: -6.022 eV per atom
**Crystal system**: trigonal

abc: 9.8269 9.8269 11.9451
angles: 90.00 90.00 120.00
Space group P321 (No. 150)
Unique sites:
Na 0.3333 0.6667 0.1664
Sr 0.0000 0.0000 0.0000
Sr 0.0000 0.0000 0.5000
Sr 0.0000 0.3658 0.5000
Sr 0.0000 0.6321 0.0000
Sr 0.0236 0.3336 0.8339
Sr 0.0362 0.6983 0.3298
Sr 0.3333 0.6667 0.6667
Pt 0.0000 0.0000 0.2498
Pt 0.3333 0.6667 0.4143
Pt 0.3333 0.6667 0.9192
O 0.0259 0.1853 0.6502
O 0.0257 0.8412 0.1497
O 0.1492 0.6407 0.8173
O 0.1507 0.5096 0.3153
O 0.1745 0.6928 0.5162
O 0.1763 0.4843 0.0174

---

Rb3NaRu2O8: optimized geometry, PBE.

**Spin magnetization**: 4.00 μB/f.u.
**VASP energy**: -5.771 eV per atom
**Crystal system**: trigonal

abc: 6.2075 6.2075 8.0645
angles: 90.00 90.00 120.00
Space group P-3m1 (No. 164)
Unique sites:
Rb 0.0000 0.0000 0.0000
Rb 0.3333 0.6667 0.6591
Na 0.0000 0.0000 0.5000
Ru 0.3333 0.6667 0.2212
O 0.1780 0.3560 0.3075
O 0.3333 0.6667 0.0015

---

no.,formation enthalpy at 0 K (eV/atom)
1,-2.9050
2,-1.0749
3,-1.3670
4,-1.4226
5,-2.5422
6,-1.7069